This record from the Materials Project describes a relaxed Tc3Mo crystal. The functional is PBE.

Structure (POSCAR):
```
Tc3Mo
1.0
-2.080 -2.904 -1.600
3.315 -1.770 -1.096
0.089 -1.938 3.400
Mo Tc
1 3
Direct
0.000 0.000 0.000 Mo
0.500 0.000 0.500 Tc
0.000 0.500 0.500 Tc
0.500 0.500 0.000 Tc
```

Results
- energy above the lowest structure with this stoichiometry (eV/atom) = 0.013
- ΔH_f (0 K) (meV per atom) = 117